1.
Computed, not measured: a geometry-optimized YbSi2Os2 structure at the meta-GGA r2SCAN level of DFT.

raw total energy = -32.81 eV per atom
E_form = -76.9 kJ/mol of atoms

Unit cell a=4.1535 b=4.1535 c=9.4744 alpha=90.00 beta=90.00 gamma=90.00
Space group I4/mmm (No. 139)
Asymmetric unit:
Yb: 0.0000 0.0000 0.0000 [2 per cell]
Si: 0.0000 0.0000 0.3720 [4 per cell]
Os: 0.0000 0.5000 0.2500 [4 per cell]


2.
Computed, not measured: a geometry-optimized HoInAu structure at the meta-GGA r2SCAN level of DFT.

raw total energy = -36.22 eV per atom
E_form = -83.7 kJ/mol of atoms

Unit cell a=7.6424 b=7.6424 c=4.0012 alpha=90.00 beta=90.00 gamma=120.00
Space group P-62m (No. 189)
Asymmetric unit:
Ho: 0.0000 0.5945 0.0000 [3 per cell]
In: 0.0000 0.2594 0.5000 [3 per cell]
Au: 0.0000 0.0000 0.0000 [1 per cell]
Au: 0.3333 0.6667 0.5000 [2 per cell]


3.
Computed, not measured: a geometry-optimized BiSbWO6 structure at the meta-GGA r2SCAN level of DFT.

raw total energy = -20.88 eV per atom
E_form = -176.9 kJ/mol of atoms

Unit cell a=16.7293 b=5.4808 c=5.4143 alpha=90.00 beta=90.73 gamma=90.00
Space group C2 (No. 5)
Asymmetric unit:
Bi: 0.1705 0.0000 0.0285 [4 per cell]
Sb: 0.1758 0.4949 0.4596 [4 per cell]
W: 0.0000 0.0595 0.5000 [2 per cell]
W: 0.0000 0.5563 0.0000 [2 per cell]
O: 0.0215 0.3439 0.7556 [4 per cell]
O: 0.0215 0.8482 0.7493 [4 per cell]
O: 0.1071 0.1285 0.4164 [4 per cell]
O: 0.1072 0.6193 0.0929 [4 per cell]
O: 0.2402 0.3098 0.2111 [4 per cell]
O: 0.2455 0.7974 0.2973 [4 per cell]


4.
Computed, not measured: a geometry-optimized CaLaAg2 structure at the meta-GGA r2SCAN level of DFT.

raw total energy = -20.18 eV per atom
E_form = -29.6 kJ/mol of atoms

Unit cell a=7.5051 b=7.5051 c=7.5051 alpha=90.00 beta=90.00 gamma=90.00
Space group Fm-3m (No. 225)
Asymmetric unit:
Ca: 0.0000 0.0000 0.0000 [4 per cell]
La: 0.0000 0.0000 0.5000 [4 per cell]
Ag: 0.2500 0.2500 0.2500 [8 per cell]


5.
Computed, not measured: a geometry-optimized Ta2S structure at the meta-GGA r2SCAN level of DFT.

raw total energy = -35.76 eV per atom
E_form = -66.3 kJ/mol of atoms

Unit cell a=7.3918 b=5.6205 c=15.2670 alpha=90.00 beta=90.00 gamma=90.00
Space group Pbcm (No. 57)
Asymmetric unit:
Ta: 0.0092 0.1330 0.2500 [4 per cell]
Ta: 0.0951 0.6043 0.5909 [8 per cell]
Ta: 0.2822 0.1038 0.6547 [8 per cell]
Ta: 0.3495 0.6281 0.7500 [4 per cell]
S: 0.1785 0.2500 0.0000 [4 per cell]
S: 0.4123 0.7330 0.5983 [8 per cell]


6.
Computed, not measured: a geometry-optimized SrAu2F12 structure at the meta-GGA r2SCAN level of DFT.

raw total energy = -11.80 eV per atom
E_form = -148.7 kJ/mol of atoms

Unit cell a=10.2021 b=10.2021 c=10.2021 alpha=90.00 beta=90.00 gamma=90.00
Space group Pm-3m (No. 221)
Asymmetric unit:
Sr: 0.0000 0.0000 0.0000 [1 per cell]
Sr: 0.0000 0.0000 0.5000 [3 per cell]
Au: 0.2514 0.2514 0.2514 [8 per cell]
F: 0.1236 0.1236 0.3139 [24 per cell]
F: 0.1848 0.3733 0.3733 [24 per cell]


7.
Computed, not measured: a geometry-optimized BaNi2P4 structure at the meta-GGA r2SCAN level of DFT.

raw total energy = -13.07 eV per atom
E_form = -68.9 kJ/mol of atoms

Unit cell a=5.8357 b=6.3937 c=6.6099 alpha=90.00 beta=90.00 gamma=90.00
Space group Immm (No. 71)
Asymmetric unit:
Ba: 0.0000 0.0000 0.0000 [2 per cell]
Ni: 0.2302 0.5000 0.0000 [4 per cell]
P: 0.0000 0.2492 0.5000 [4 per cell]
P: 0.0000 0.5000 0.2613 [4 per cell]


8.
Computed, not measured: a geometry-optimized Ta2P structure at the meta-GGA r2SCAN level of DFT.

raw total energy = -36.18 eV per atom
E_form = -75.9 kJ/mol of atoms

Unit cell a=11.5785 b=14.4458 c=3.4084 alpha=90.00 beta=90.00 gamma=90.00
Space group Pnnm (No. 58)
Asymmetric unit:
Ta: 0.0296 0.1098 0.0000 [4 per cell]
Ta: 0.0790 0.7453 0.5000 [4 per cell]
Ta: 0.0880 0.5799 0.0000 [4 per cell]
Ta: 0.1215 0.4225 0.5000 [4 per cell]
Ta: 0.1510 0.9770 0.5000 [4 per cell]
Ta: 0.1955 0.2052 0.5000 [4 per cell]
P: 0.0766 0.2950 0.0000 [4 per cell]
P: 0.1849 0.8483 0.0000 [4 per cell]
P: 0.2452 0.5835 0.5000 [4 per cell]


9.
Computed, not measured: a geometry-optimized In3Sn structure at the meta-GGA r2SCAN level of DFT.

raw total energy = -23.06 eV per atom
E_form = 6.0 kJ/mol of atoms

Unit cell a=5.7524 b=3.3892 c=11.2730 alpha=90.00 beta=103.68 gamma=90.00
Space group C2/m (No. 12)
Asymmetric unit:
In: 0.0000 0.0000 0.0000 [2 per cell]
In: 0.0061 0.5000 0.7492 [4 per cell]
Sn: 0.0000 0.0000 0.5000 [2 per cell]


10.
Computed, not measured: a geometry-optimized FeSbS structure at the meta-GGA r2SCAN level of DFT.

raw total energy = -16.30 eV per atom
E_form = -23.7 kJ/mol of atoms

Unit cell a=6.0130 b=5.9021 c=5.9951 alpha=90.00 beta=112.22 gamma=90.00
Space group P2_1/c (No. 14)
Asymmetric unit:
Fe: 0.1988 0.0171 0.1974 [4 per cell]
Sb: 0.3525 0.6320 0.1304 [4 per cell]
S: 0.1417 0.1373 0.8292 [4 per cell]


11.
Computed, not measured: a geometry-optimized La3Pb structure at the meta-GGA r2SCAN level of DFT.

raw total energy = -36.86 eV per atom
E_form = -46.6 kJ/mol of atoms

Unit cell a=5.0733 b=5.0733 c=5.0733 alpha=90.00 beta=90.00 gamma=90.00
Space group Pm-3m (No. 221)
Asymmetric unit:
La: 0.0000 0.0000 0.5000 [3 per cell]
Pb: 0.5000 0.5000 0.5000 [1 per cell]


12.
Computed, not measured: a geometry-optimized YZr3F15 structure at the meta-GGA r2SCAN level of DFT.

raw total energy = -11.25 eV per atom
E_form = -397.5 kJ/mol of atoms

Unit cell a=10.3918 b=12.3911 c=8.0803 alpha=90.00 beta=105.86 gamma=90.00
Space group C2/c (No. 15)
Asymmetric unit:
Y: 0.0000 0.1777 0.2500 [4 per cell]
Zr: 0.0000 0.2475 0.7500 [4 per cell]
Zr: 0.2124 0.4654 0.3251 [8 per cell]
F: 0.0000 0.4674 0.2500 [4 per cell]
F: 0.0282 0.2547 0.0039 [8 per cell]
F: 0.1253 0.0622 0.1474 [8 per cell]
F: 0.1421 0.1322 0.7800 [8 per cell]
F: 0.1416 0.3646 0.7752 [8 per cell]
F: 0.1497 0.1030 0.4707 [8 per cell]
F: 0.1535 0.3084 0.3188 [8 per cell]
F: 0.1651 0.4831 0.0528 [8 per cell]


13.
Computed, not measured: a geometry-optimized Ho2ReB6 structure at the meta-GGA r2SCAN level of DFT.

raw total energy = -18.74 eV per atom
E_form = -68.5 kJ/mol of atoms

Unit cell a=9.1381 b=11.5077 c=3.6655 alpha=90.00 beta=90.00 gamma=90.00
Space group Pbam (No. 55)
Asymmetric unit:
Ho: 0.0573 0.1303 0.0000 [4 per cell]
Ho: 0.1762 0.4140 0.0000 [4 per cell]
Re: 0.1385 0.6793 0.0000 [4 per cell]
B: 0.0178 0.2882 0.5000 [4 per cell]
B: 0.0532 0.5670 0.5000 [4 per cell]
B: 0.0998 0.9721 0.5000 [4 per cell]
B: 0.1307 0.8145 0.5000 [4 per cell]
B: 0.2082 0.2350 0.5000 [4 per cell]
B: 0.2491 0.5814 0.5000 [4 per cell]


14.
Computed, not measured: a geometry-optimized TlBr3 structure at the meta-GGA r2SCAN level of DFT.

raw total energy = -23.67 eV per atom
E_form = -41.7 kJ/mol of atoms

Unit cell a=13.4661 b=10.5673 c=6.7146 alpha=90.00 beta=90.00 gamma=90.00
Space group Pnma (No. 62)
Asymmetric unit:
Tl: 0.2473 0.2500 0.1643 [4 per cell]
Br: 0.0843 0.7500 0.8282 [4 per cell]
Br: 0.1625 0.0457 0.0731 [8 per cell]


15.
Computed, not measured: a geometry-optimized NbSb3O8 structure at the meta-GGA r2SCAN level of DFT.

raw total energy = -14.36 eV per atom
E_form = -182.2 kJ/mol of atoms

Unit cell a=4.9016 b=5.5198 c=12.8085 alpha=90.00 beta=112.14 gamma=90.00
Space group Pc (No. 7)
Asymmetric unit:
Nb: 0.0000 0.1227 0.0000 [2 per cell]
Sb: 0.2944 0.2743 0.7456 [2 per cell]
Sb: 0.4857 0.3796 0.4935 [2 per cell]
Sb: 0.7108 0.2181 0.2493 [2 per cell]
O: 0.1389 0.1720 0.4342 [2 per cell]
O: 0.2404 0.3287 0.9386 [2 per cell]
O: 0.3147 0.0671 0.1492 [2 per cell]
O: 0.4855 0.4326 0.6479 [2 per cell]
O: 0.5034 0.3996 0.3358 [2 per cell]
O: 0.6733 0.0997 0.8355 [2 per cell]
O: 0.7531 0.1067 0.5448 [2 per cell]
O: 0.8290 0.3987 0.0415 [2 per cell]